i:
# HPd3 | the Materials Project | PBE-GGA | relaxed
# - Magnetization: 0.00 μB/atom
data_HPd3
_chemical_formula_sum 'H2 Pd6'
_space_group_name_H-M_alt 'P 63/m m c'
_space_group_IT_number 194
_space_group_name_Hall '-P 6c 2c'
_cell_length_a 5.5507
_cell_length_b 5.5507
_cell_length_c 4.0810
_cell_angle_alpha 90.00
_cell_angle_beta 90.00
_cell_angle_gamma 120.00
loop_
_atom_site_label
_atom_site_type_symbol
_atom_site_fract_x
_atom_site_fract_y
_atom_site_fract_z
H1 H 0.3333 0.6667 0.2500
Pd1 Pd 0.1744 0.3489 0.7500



ii:
# HPd3 | the Materials Project | PBE-GGA | relaxed
# - Magnetization: 0.25 μB/atom
data_HPd3
_chemical_formula_sum 'H2 Pd6'
_space_group_name_H-M_alt 'I 4/m m m'
_space_group_IT_number 139
_space_group_name_Hall '-I 4 2'
_cell_length_a 3.933
_cell_length_b 3.933
_cell_length_c 7.041
_cell_angle_alpha 90.00
_cell_angle_beta 90.00
_cell_angle_gamma 90.00
loop_
_atom_site_label
_atom_site_type_symbol
_atom_site_fract_x
_atom_site_fract_y
_atom_site_fract_z
H1 H 0.000 0.000 0.000
Pd1 Pd 0.000 0.000 0.500
Pd2 Pd 0.000 0.500 0.250



How far above the most stable structure does each one sit? In kJ/mol of atoms: i 0.6; ii 0.0.